(1)
Density functional theory data (PBE) for a relaxed Ca2Ta2SnO8 crystal.

abc: 10.7146 10.7146 5.5018
angles: 89.80 89.80 36.85
Sites, in units of the cell vectors:
Ca1 0.8632 0.5685 0.7499
Ca2 0.4315 0.1368 0.7501
Ca3 0.1368 0.4315 0.2501
Ca4 0.5685 0.8632 0.2499
O1 0.8905 0.7347 0.0266
O2 0.7411 0.3980 0.1068
O3 0.1095 0.2653 0.9734
O4 0.3980 0.7411 0.6068
O5 0.1419 0.4785 0.6451
O6 0.8581 0.5215 0.3549
O7 0.0182 0.8251 0.4316
O8 0.9818 0.1749 0.5684
O9 0.6020 0.2589 0.3932
O10 0.5215 0.8581 0.8549
O11 0.1749 0.9818 0.0684
O12 0.4785 0.1419 0.1451
O13 0.2653 0.1095 0.4734
O14 0.7347 0.8905 0.5266
O15 0.8251 0.0182 0.9316
O16 0.2589 0.6020 0.8932
Ta1 0.0196 0.7342 0.7539
Ta2 0.7342 0.0196 0.2539
Ta3 0.9804 0.2658 0.2461
Ta4 0.2658 0.9804 0.7461
Sn1 0.6860 0.3140 0.7500
Sn2 0.3140 0.6860 0.2500

## Properties
The calculation puts the magnetization at 0.000 μB/cell. Its formation energy is -3099 meV per atom. As for the space-group type: C2/c.

***

(2)
Density functional theory data (PBE) for a relaxed ZrZnS3O12 crystal.

abc: 8.8478 8.8478 22.7301
angles: 90.00 90.00 120.00
Sites, in units of the cell vectors:
O1 0.9697 0.1805 0.3030
O2 0.1786 0.9689 0.1975
O3 0.2033 0.0258 0.5914
O4 0.8225 0.7967 0.5914
O5 0.4862 0.3637 0.1364
O6 0.6898 0.1564 0.7412
O7 0.4570 0.3023 0.0308
O8 0.1333 0.4897 0.5745
O9 0.1558 0.4634 0.2581
O10 0.3564 0.8667 0.5745
O11 0.8195 0.0303 0.8030
O12 0.0311 0.8214 0.6975
O13 0.5119 0.8763 0.3641
O14 0.1770 0.9769 0.9079
O15 0.8775 0.3637 0.6364
O16 0.5442 0.6970 0.9697
O17 0.0311 0.2096 0.1975
O18 0.6409 0.1300 0.4247
O19 0.3030 0.8472 0.9697
O20 0.3075 0.4634 0.7581
O21 0.1558 0.6925 0.7581
O22 0.7999 0.9769 0.4079
O23 0.9742 0.7967 0.0914
O24 0.4892 0.3591 0.4247
O25 0.4892 0.1300 0.9247
O26 0.2108 0.0303 0.3030
O27 0.1528 0.6970 0.4697
O28 0.7999 0.8230 0.9079
O29 0.9742 0.1775 0.5914
O30 0.3564 0.4897 0.0745
O31 0.1333 0.6436 0.0745
O32 0.0231 0.2001 0.9079
O33 0.6363 0.5138 0.6364
O34 0.6363 0.1225 0.1364
O35 0.6898 0.5334 0.2412
O36 0.4570 0.1548 0.5308
O37 0.8700 0.3591 0.9247
O38 0.6409 0.5108 0.9247
O39 0.7904 0.8214 0.1975
O40 0.8452 0.5430 0.0308
O41 0.1770 0.2001 0.4079
O42 0.1786 0.2096 0.6975
O43 0.8195 0.7892 0.3030
O44 0.5366 0.6925 0.2581
O45 0.3075 0.8442 0.2581
O46 0.8225 0.0258 0.0914
O47 0.8436 0.5334 0.7412
O48 0.4666 0.3102 0.7412
O49 0.2033 0.1775 0.0914
O50 0.1528 0.4558 0.9697
O51 0.4666 0.1564 0.2412
O52 0.5366 0.8442 0.7581
O53 0.6977 0.1548 0.0308
O54 0.7904 0.9689 0.6975
O55 0.8452 0.3023 0.5308
O56 0.3644 0.4881 0.3641
O57 0.1237 0.4881 0.8641
O58 0.9697 0.7892 0.8030
O59 0.1237 0.6356 0.3641
O60 0.5103 0.6436 0.5745
O61 0.8775 0.5138 0.1364
O62 0.4862 0.1225 0.6364
O63 0.8436 0.3102 0.2412
O64 0.0231 0.8230 0.4079
O65 0.5119 0.6356 0.8641
O66 0.2108 0.1805 0.8030
O67 0.3030 0.4558 0.4697
O68 0.3644 0.8763 0.8641
O69 0.5442 0.8472 0.4697
O70 0.5103 0.8667 0.0745
O71 0.8700 0.5108 0.4247
O72 0.6977 0.5430 0.5308
Zr1 0.3333 0.6667 0.3110
Zr2 0.3333 0.6667 0.8110
Zr3 0.0000 0.0000 0.1443
Zr4 0.6667 0.3333 0.9776
Zr5 0.0000 0.0000 0.6443
Zr6 0.6667 0.3333 0.4776
S1 0.7132 0.7065 0.2511
S2 0.3799 0.3400 0.0844
S3 0.6600 0.0399 0.0844
S4 0.7132 0.0067 0.7511
S5 0.9933 0.7065 0.7511
S6 0.9601 0.6201 0.0844
S7 0.2935 0.0067 0.2511
S8 0.9933 0.2868 0.2511
S9 0.6268 0.6734 0.9177
S10 0.0466 0.3732 0.9177
S11 0.0466 0.6734 0.4177
S12 0.3266 0.9534 0.9177
S13 0.3799 0.0399 0.5844
S14 0.2935 0.2868 0.7511
S15 0.9601 0.3400 0.5844
S16 0.6600 0.6201 0.5844
S17 0.6268 0.9534 0.4177
S18 0.3266 0.3732 0.4177
Zn1 0.3333 0.6667 0.5198
Zn2 0.6667 0.3333 0.1865
Zn3 0.3333 0.6667 0.0198
Zn4 0.0000 0.0000 0.3532
Zn5 0.0000 0.0000 0.8532
Zn6 0.6667 0.3333 0.6865

## Properties
The calculation puts the magnetization at 0.000 μB/cell. Its formation energy is -2209 meV per atom.

***

(3)
Density functional theory data (PBE) for a relaxed HfCrAgS4 crystal.

abc: 14.1834 3.6106 6.1004
angles: 90.00 114.28 90.00
Sites, in units of the cell vectors:
S1 0.1382 0.5000 0.9852
S2 0.1425 0.0000 0.4674
S3 0.8575 0.0000 0.5326
S4 0.6333 0.0000 0.9674
S5 0.3667 0.0000 0.0326
S6 0.6500 0.5000 0.5090
S7 0.3500 0.5000 0.4910
S8 0.8618 0.5000 0.0148
Cr1 0.7548 0.0000 0.7690
Cr2 0.2452 0.0000 0.2310
Ag1 0.0000 0.5000 0.5000
Ag2 0.5000 0.0000 0.5000
Hf1 0.7468 0.5000 0.2341
Hf2 0.2532 0.5000 0.7659

## Properties
The calculation puts the magnetization at 6.001 μB/cell. The energy above the most stable polymorph in this dataset is 19.6 meV/atom. Its formation energy is -1213 meV per atom. As for the space-group type: P2/m.

***

(4)
Density functional theory data (PBE) for a relaxed Cu9S5 crystal.

abc: 6.7251 7.7690 8.7034
angles: 77.14 75.03 73.30
Sites, in units of the cell vectors:
Cu1 0.4540 0.0465 0.3492
Cu2 0.5460 0.9535 0.6508
Cu3 0.1515 0.3494 0.4535
Cu4 0.4457 0.5548 0.3476
Cu5 0.7437 0.2506 0.2553
Cu6 0.0464 0.4544 0.1501
Cu7 0.0462 0.9480 0.1501
Cu8 0.2563 0.7494 0.7447
Cu9 0.6505 0.8489 0.9542
Cu10 0.3495 0.1511 0.0458
Cu11 0.6523 0.3481 0.9564
Cu12 0.3477 0.6519 0.0436
Cu13 0.5543 0.4452 0.6524
Cu14 0.8485 0.6506 0.5465
Cu15 0.9538 0.0520 0.8499
Cu16 0.8491 0.1511 0.5512
Cu17 0.1509 0.8489 0.4488
Cu18 0.9536 0.5456 0.8499
S1 0.4976 0.2501 0.5017
S2 0.0974 0.6503 0.3005
S3 0.7013 0.5519 0.1010
S4 0.7005 0.0470 0.1004
S5 0.8987 0.8500 0.7006
S6 0.2987 0.4481 0.8990
S7 0.5024 0.7499 0.4983
S8 0.9026 0.3497 0.6995
S9 0.1013 0.1500 0.2994
S10 0.2995 0.9530 0.8996

## Properties
The calculation puts the magnetization at 0.000 μB/cell. The energy above the most stable polymorph in this dataset is 0.0 meV/atom. Its formation energy is -277 meV per atom. As for the space-group type: P-1.